A relaxed structure of Ac3Yb. Source: Materials Project, functional meta-GGA r2SCAN.

The uncorrected energy is -60.558 eV/atom. The calculation puts the volume at 41.3 Å³ per atom.

The space group is Pm-3m (No. 221) and the conventional cell measures 5.486, 5.486 and 5.486 Å, with angles of 90.00, 90.00 and 90.00 degrees. Symmetry generates all atoms from Ac at (0.000, 0.000, 0.500) and Yb at (0.500, 0.500, 0.500).